Na10B18H6O35 | meta-GGA r2SCAN | optimized geometry

The value obtained for the energy of formation from the pure elements is -2353 meV/atom. Its crystal system is triclinic. For the calculated total energy, the calculation gives -8.12 eV/atom.

abc: 6.6652 9.2926 11.7678
angles: 83.30 75.39 80.83
Fractional positions:
Na1 0.3900 0.8028 0.0685
Na2 0.6075 0.1866 0.9405
Na3 0.5882 0.8203 0.3758
Na4 0.4027 0.1566 0.6096
Na5 0.7562 0.5825 0.9028
Na6 0.2491 0.4237 0.0890
Na7 0.0086 0.9459 0.7690
Na8 0.0002 0.0318 0.2310
Na9 0.2237 0.5578 0.6131
Na10 0.7759 0.4623 0.3833
B1 0.7504 0.5760 0.1583
B2 0.2462 0.4234 0.8372
B3 0.0463 0.7244 0.4306
B4 0.9492 0.3104 0.5666
B5 0.3694 0.6231 0.2949
B6 0.6249 0.3766 0.7079
B7 0.7663 0.7548 0.6190
B8 0.2247 0.2327 0.3809
B9 0.0294 0.6568 0.2321
B10 0.9645 0.3306 0.7753
B11 0.3920 0.8502 0.6503
B12 0.6043 0.1676 0.3508
B13 0.8925 0.8007 0.0683
B14 0.1183 0.1929 0.9350
B15 0.5623 0.8729 0.8006
B16 0.4409 0.1205 0.2042
B17 0.3390 0.6762 0.8313
B18 0.6517 0.3295 0.1687
H1 0.7095 0.9299 0.9191
H2 0.3048 0.0589 0.0844
H3 0.0057 0.9873 0.9969
H4 0.2014 0.9000 0.5251
H5 0.8278 0.1680 0.4383
H6 0.9309 0.9439 0.4356
O1 0.2629 0.6156 0.2106
O2 0.7320 0.3723 0.7929
O3 0.7552 0.7041 0.0697
O4 0.2524 0.2964 0.9240
O5 0.2876 0.7262 0.7264
O6 0.7087 0.2859 0.2731
O7 0.2537 0.9391 0.5842
O8 0.7314 0.1022 0.4331
O9 0.9470 0.5417 0.1919
O10 0.0503 0.4510 0.8015
O11 0.5828 0.6127 0.2676
O12 0.4153 0.3929 0.7262
O13 0.4315 0.9481 0.7271
O14 0.5752 0.0569 0.2816
O15 0.2843 0.5470 0.8914
O16 0.7032 0.4560 0.1033
O17 0.7615 0.7941 0.7290
O18 0.2291 0.1854 0.2757
O19 0.0002 0.7954 0.1544
O20 0.9971 0.1987 0.8529
O21 0.4557 0.7514 0.8792
O22 0.5312 0.2497 0.1281
O23 0.9228 0.9051 0.9763
O24 0.1041 0.0885 0.0246
O25 0.5901 0.7821 0.5743
O26 0.3972 0.2377 0.4203
O27 0.2680 0.6507 0.4088
O28 0.7351 0.3561 0.5914
O29 0.9501 0.6864 0.5551
O30 0.0261 0.2814 0.4503
O31 0.6134 0.9736 0.8695
O32 0.4109 0.0178 0.1304
O33 0.9335 0.6778 0.3546
O34 0.0599 0.2949 0.6489
O35 0.0654 0.8829 0.4110